76
Lattice="6.460 0.000 0.000 0.000 18.140 0.000 -3.218 0.000 7.213" Properties=species:S:1:pos:R:3 comment="Na3ZnB5O10 | the Materials Project database | r²SCAN | optimized geometry" formation_enthalpy_0k_ev_per_atom=-2.431 final_energy_ev_per_atom=-8.540 rho_g_cm3=2.7 m_tot_mub_per_cell=0.00 pbc="T T T"
Na -0.280 1.249 2.467
Na -1.889 7.821 6.073
Na -1.803 1.467 6.426
Na -0.194 7.603 2.820
Na 0.556 13.438 3.029
Na -1.053 13.772 6.636
Na 4.295 4.368 0.577
Na 2.686 4.702 4.183
Na 3.436 10.537 4.393
Na 5.045 16.673 0.787
Na 5.131 10.319 1.139
Na 3.522 16.891 4.746
Zn 1.670 10.798 1.439
Zn 0.061 16.412 5.045
Zn 3.181 1.728 2.168
Zn 1.572 7.342 5.774
B -1.288 3.536 3.606
B -2.898 5.534 7.212
B 1.351 3.680 1.226
B -0.259 5.390 4.833
B -0.668 10.462 6.074
B 0.941 16.748 2.468
B 0.386 10.356 3.865
B 1.995 16.855 0.259
B 0.477 3.011 5.268
B 2.086 6.059 1.662
B 1.156 12.081 5.551
B 2.765 15.129 1.944
B 1.247 1.285 6.954
B 2.856 7.785 3.348
B 2.301 1.392 4.745
B 3.910 7.678 1.139
B 3.501 12.750 2.380
B 1.891 14.460 5.986
B 6.140 12.606 0.000
B 4.530 14.604 3.607
O 0.420 4.154 0.283
O -1.189 4.916 3.889
O 0.316 12.215 1.097
O -1.293 14.995 4.703
O -0.724 2.638 4.502
O 0.885 6.432 0.896
O -0.569 9.891 4.785
O 1.040 17.320 1.179
O -1.440 9.852 6.971
O 0.169 17.358 3.365
O 0.492 9.780 2.661
O -1.117 17.430 6.268
O 1.486 2.357 1.408
O -0.123 6.713 5.014
O -0.037 11.666 6.303
O 1.572 15.545 2.696
O 0.523 4.460 5.484
O 2.132 4.610 1.878
O 1.188 11.423 4.235
O 2.797 15.787 0.629
O 0.445 2.353 6.584
O 2.054 6.717 2.978
O 1.110 13.530 5.335
O 2.719 13.680 1.729
O 1.670 2.595 4.516
O 3.279 6.475 0.910
O 3.365 11.427 2.198
O 1.756 15.783 5.805
O 4.359 0.710 0.945
O 2.750 8.360 4.551
O 3.073 0.782 3.848
O 4.682 8.288 0.242
O 2.202 0.820 6.034
O 3.811 8.250 2.428
O 2.357 11.708 6.317
O 3.966 15.502 2.711
O 4.535 3.145 2.509
O 2.926 5.925 6.116
O 4.431 13.224 3.324
O 2.822 13.986 6.930


8
Lattice="3.852 0.000 0.000 0.000 3.852 0.000 0.000 0.000 9.399" Properties=species:S:1:pos:R:3 comment="TlCu4S3 | the Materials Project database | r²SCAN | optimized geometry" formation_enthalpy_0k_ev_per_atom=-0.293 final_energy_ev_per_atom=-15.377 rho_g_cm3=6.6 m_tot_mub_per_cell=0.00 pbc="T T T"
Tl 0.000 0.000 0.000
Cu 0.000 1.926 3.204
Cu 0.000 1.926 6.195
Cu 1.926 0.000 3.204
Cu 1.926 0.000 6.195
S 0.000 0.000 4.700
S 1.926 1.926 1.969
S 1.926 1.926 7.430


10
Lattice="0.000 4.702 4.702 4.702 0.000 4.702 4.702 4.702 0.000" Properties=species:S:1:pos:R:3 comment="Cs3GaF6 | the Materials Project database | r²SCAN | optimized geometry" formation_enthalpy_0k_ev_per_atom=-3.006 final_energy_ev_per_atom=-13.558 rho_g_cm3=4.7 m_tot_mub_per_cell=0.00 pbc="T T T"
Cs 0.000 0.000 0.000
Cs 2.351 2.351 2.351
Cs 7.053 7.053 7.053
Ga 4.702 4.702 4.702
F 4.702 4.702 2.794
F 4.702 2.794 4.702
F 6.610 4.702 4.702
F 2.794 4.702 4.702
F 4.702 6.610 4.702
F 4.702 4.702 6.610


6
Lattice="-2.355 3.635 4.137 2.355 -3.635 4.137 2.355 3.635 -4.137" Properties=species:S:1:pos:R:3 comment="EuAu2 | the Materials Project database | r²SCAN | optimized geometry" formation_enthalpy_0k_ev_per_atom=-0.841 final_energy_ev_per_atom=-47.404 rho_g_cm3=12.8 m_tot_mub_per_cell=14.08 pbc="T T T"
Eu 0.000 1.818 0.316
Eu 2.355 1.818 3.821
Au 2.355 -0.296 1.346
Au 2.355 3.339 -1.346
Au 0.000 0.296 5.484
Au 0.000 3.931 2.791


48
Lattice="-5.430 5.430 9.639 5.430 -5.430 9.639 5.430 5.430 -9.639" Properties=species:S:1:pos:R:3 comment="SmPS4 | the Materials Project database | r²SCAN | optimized geometry" formation_enthalpy_0k_ev_per_atom=-1.240 final_energy_ev_per_atom=-13.052 rho_g_cm3=3.6 m_tot_mub_per_cell=0.00 pbc="T T T"
Sm 5.430 2.715 -2.410
Sm 5.430 -2.715 7.229
Sm 0.000 2.715 2.410
Sm 5.430 2.715 2.410
Sm 0.000 2.715 7.229
Sm 5.430 2.715 7.229
Sm 0.000 8.145 2.410
Sm 0.000 2.715 12.049
P 2.715 2.301 0.000
P 0.414 0.000 4.820
P 5.844 0.000 4.820
P 2.715 -2.301 9.639
P 2.715 7.731 0.000
P -0.414 5.430 4.820
P 5.016 5.430 4.820
P 2.715 3.129 9.639
S 6.920 -1.727 4.774
S 6.920 3.703 -4.774
S 8.174 1.996 -1.686
S 4.442 1.225 -0.045
S 0.988 1.225 0.045
S 4.711 5.401 -6.505
S 4.711 0.029 3.134
S 2.686 3.434 -1.686
S 8.117 1.996 1.686
S 4.711 -0.029 6.505
S 4.711 5.459 -3.134
S 6.418 4.205 -0.045
S 4.442 -1.225 9.684
S 2.744 3.434 1.686
S 1.490 1.727 4.774
S 6.920 1.727 4.865
S -1.490 3.703 4.774
S 3.940 3.703 4.865
S 2.686 1.996 7.953
S 0.988 6.655 -0.045
S -0.988 1.225 9.684
S 0.719 -0.029 12.773
S 0.719 5.459 3.134
S -2.686 3.434 7.953
S 2.744 1.996 11.325
S 0.719 5.401 6.505
S 0.719 0.029 16.145
S 4.442 4.205 9.594
S 0.988 4.205 9.684
S -2.744 3.434 11.325
S -1.490 1.727 14.414
S -1.490 7.157 4.865


5
Lattice="-2.082 2.082 4.859 2.082 -2.082 4.859 2.082 2.082 -4.859" Properties=species:S:1:pos:R:3 comment="PuSi2Ru2 | the Materials Project database | r²SCAN | optimized geometry" formation_enthalpy_0k_ev_per_atom=-0.852 final_energy_ev_per_atom=-31.803 rho_g_cm3=9.9 m_tot_mub_per_cell=5.29 pbc="T T T"
Pu 0.000 0.000 0.000
Si 0.000 0.000 3.566
Si 0.000 0.000 6.152
Ru 2.082 0.000 2.429
Ru 0.000 2.082 2.429


24
Lattice="0.000 6.655 6.655 6.655 0.000 6.655 6.655 6.655 0.000" Properties=species:S:1:pos:R:3 comment="Tm4MgCo | the Materials Project database | r²SCAN | optimized geometry" formation_enthalpy_0k_ev_per_atom=-0.114 final_energy_ev_per_atom=-26.429 rho_g_cm3=8.6 m_tot_mub_per_cell=0.00 pbc="T T T"
Tm 8.742 4.568 4.568
Tm 3.328 3.328 0.826
Tm 3.328 0.826 3.328
Tm 5.829 3.328 3.328
Tm 6.655 6.655 2.480
Tm 6.655 2.480 6.655
Tm 10.830 6.655 6.655
Tm 0.826 3.328 3.328
Tm 3.328 5.829 3.328
Tm 3.328 3.328 5.829
Tm 4.568 8.742 4.568
Tm 4.568 4.568 8.742
Tm 8.742 8.742 8.742
Tm 2.480 6.655 6.655
Tm 6.655 10.830 6.655
Tm 6.655 6.655 10.830
Mg 5.610 5.610 5.610
Mg 7.700 7.700 5.610
Mg 7.700 5.610 7.700
Mg 5.610 7.700 7.700
Co 11.444 8.521 8.521
Co 8.521 11.444 8.521
Co 8.521 8.521 11.444
Co 11.444 11.444 11.444


52
Lattice="6.578 0.000 0.000 0.000 6.578 0.000 0.000 0.000 17.249" Properties=species:S:1:pos:R:3 comment="Sb2S2O9 | the Materials Project database | r²SCAN | optimized geometry" formation_enthalpy_0k_ev_per_atom=-1.438 final_energy_ev_per_atom=-10.763 rho_g_cm3=4.0 m_tot_mub_per_cell=0.00 pbc="T T T"
Sb 0.169 1.010 2.723
Sb 1.010 0.169 14.526
Sb 2.278 3.458 7.035
Sb 3.120 4.299 1.589
Sb 3.458 2.278 10.214
Sb 4.299 3.120 15.660
Sb 5.567 6.409 5.902
Sb 6.409 5.567 11.347
S 0.248 2.345 12.019
S 0.944 3.537 16.331
S 2.345 0.248 5.231
S 3.041 5.634 9.543
S 3.537 0.944 0.918
S 4.233 6.330 13.855
S 5.634 3.041 7.706
S 6.330 4.233 3.394
O 0.030 4.125 7.852
O 0.302 5.439 2.710
O 0.343 4.615 15.546
O 0.749 1.957 13.362
O 0.836 3.259 3.540
O 0.920 5.658 12.937
O 1.139 6.276 5.915
O 1.326 2.946 11.234
O 1.332 4.038 0.425
O 1.957 0.749 3.887
O 1.963 6.235 10.327
O 2.150 2.987 15.647
O 2.369 2.369 8.625
O 2.453 6.548 0.772
O 2.540 5.246 8.200
O 2.946 1.326 6.015
O 2.987 2.150 1.602
O 3.259 0.836 13.709
O 3.319 5.742 5.085
O 3.591 4.428 10.227
O 3.632 5.252 14.639
O 4.038 1.332 16.824
O 4.125 0.030 9.397
O 4.209 4.209 0.000
O 4.428 3.591 7.022
O 4.615 0.343 1.703
O 4.621 5.829 12.512
O 5.246 2.540 9.049
O 5.252 3.632 2.610
O 5.439 0.302 14.539
O 5.658 0.920 4.312
O 5.742 3.319 12.165
O 5.829 4.621 4.737
O 6.235 1.963 6.922
O 6.276 1.139 11.334
O 6.548 2.453 16.477


72
Lattice="11.389 0.000 0.000 0.000 11.389 0.000 0.000 0.000 14.539" Properties=species:S:1:pos:R:3 comment="La6CoCl11 | the Materials Project database | r²SCAN | optimized geometry" formation_enthalpy_0k_ev_per_atom=-2.262 final_energy_ev_per_atom=-16.672 rho_g_cm3=4.5 m_tot_mub_per_cell=0.00 pbc="T T T"
La 0.079 9.790 1.802
La 0.163 9.258 12.367
La 0.214 2.691 7.407
La 1.600 5.774 9.071
La 2.132 5.857 5.098
La 2.691 5.481 14.401
La 3.004 0.214 14.401
La 3.563 11.227 5.098
La 4.095 11.310 9.071
La 5.481 3.004 7.407
La 5.532 7.826 12.367
La 5.615 7.295 1.802
La 5.774 4.095 12.737
La 5.857 3.563 2.171
La 5.908 8.386 7.132
La 7.295 0.079 5.468
La 7.826 0.163 9.440
La 8.386 11.176 0.137
La 8.698 5.908 0.137
La 9.258 5.532 9.440
La 9.790 5.615 5.468
La 11.176 8.698 7.132
La 11.227 2.132 2.171
La 11.310 1.600 12.737
Co 0.000 0.000 0.000
Co 0.000 5.695 7.269
Co 5.695 0.000 7.269
Co 5.695 5.695 0.000
Cl 0.027 7.381 0.105
Cl 0.060 7.979 4.321
Cl 0.212 4.905 3.159
Cl 0.790 0.212 4.110
Cl 1.252 8.677 9.503
Cl 1.686 11.363 7.374
Cl 2.285 11.330 11.590
Cl 2.713 6.947 2.234
Cl 2.847 2.847 1.791
Cl 2.847 2.847 5.478
Cl 2.847 2.847 8.823
Cl 2.847 2.847 12.985
Cl 2.847 8.542 6.089
Cl 2.847 8.542 13.359
Cl 2.982 10.137 2.234
Cl 3.410 5.754 11.590
Cl 4.008 5.721 7.374
Cl 4.442 8.408 9.503
Cl 4.905 5.483 4.110
Cl 5.483 0.790 3.159
Cl 5.635 9.105 4.321
Cl 5.668 9.703 0.105
Cl 5.721 1.686 14.434
Cl 5.754 2.285 10.218
Cl 5.906 10.600 11.379
Cl 6.485 5.906 10.429
Cl 6.947 2.982 5.036
Cl 7.381 5.668 7.165
Cl 7.979 5.635 2.948
Cl 8.408 1.252 12.305
Cl 8.542 2.847 1.180
Cl 8.542 2.847 8.449
Cl 8.542 8.542 1.553
Cl 8.542 8.542 5.716
Cl 8.542 8.542 9.061
Cl 8.542 8.542 12.747
Cl 8.677 4.442 12.305
Cl 9.105 0.060 2.948
Cl 9.703 0.027 7.165
Cl 10.137 2.713 5.036
Cl 10.600 11.178 10.429
Cl 11.178 6.485 11.379
Cl 11.330 3.410 10.218
Cl 11.363 4.008 14.434


10
Lattice="0.000 5.165 5.165 5.165 0.000 5.165 5.165 5.165 0.000" Properties=species:S:1:pos:R:3 comment="Yb4Co | the Materials Project database | r²SCAN | optimized geometry" formation_enthalpy_0k_ev_per_atom=0.354 final_energy_ev_per_atom=-31.517 rho_g_cm3=9.0 m_tot_mub_per_cell=0.00 pbc="T T T"
Yb 7.852 5.062 5.062
Yb 2.479 2.479 2.479
Yb 5.269 5.269 2.479
Yb 5.269 2.479 5.269
Yb 5.062 7.852 5.062
Yb 5.062 5.062 7.852
Yb 7.852 7.852 7.852
Yb 2.479 5.269 5.269
Co 3.874 3.874 3.874
Co 6.457 6.457 6.457


4
Lattice="0.000 2.822 2.822 2.822 0.000 2.822 2.822 2.822 0.000" Properties=species:S:1:pos:R:3 comment="Mn3Si | the Materials Project database | r²SCAN | optimized geometry" formation_enthalpy_0k_ev_per_atom=-0.297 final_energy_ev_per_atom=-13.503 rho_g_cm3=7.1 m_tot_mub_per_cell=1.00 pbc="T T T"
Mn 0.000 0.000 0.000
Mn 1.411 1.411 1.411
Mn 4.233 4.233 4.233
Si 2.822 2.822 2.822


20
Lattice="7.003 0.000 0.000 0.000 9.527 0.000 0.000 0.000 6.376" Properties=species:S:1:pos:R:3 comment="DyScS3 | the Materials Project database | r²SCAN | optimized geometry" formation_enthalpy_0k_ev_per_atom=-2.276 final_energy_ev_per_atom=-15.773 rho_g_cm3=4.7 m_tot_mub_per_cell=0.00 pbc="T T T"
Dy 0.703 2.382 0.260
Dy 2.799 7.145 3.448
Dy 4.204 2.382 2.928
Dy 6.300 7.145 6.117
Sc 0.000 0.000 3.188
Sc 0.000 4.763 3.188
Sc 3.501 0.000 0.000
Sc 3.501 4.763 0.000
S 0.342 7.145 2.260
S 1.292 5.444 5.253
S 1.292 8.846 5.253
S 2.209 0.680 2.065
S 2.209 4.083 2.065
S 3.159 2.382 5.448
S 3.844 7.145 0.929
S 4.794 5.444 4.311
S 4.794 8.846 4.311
S 5.711 0.680 1.123
S 5.711 4.083 1.123
S 6.661 2.382 4.117